# 1
{"formula": "Na4LaSi2SnPO12", "functional": "PBE", "state": "relaxed", "volume_a3_per_atom": 14.098, "energy_ev_per_atom": -6.64, "formation_enthalpy_0k_ev_per_atom": -2.75, "lattice": [[9.5268, -0.0052, 0.0539], [-4.7680, 8.2479, -0.0539], [0.1441, -0.0832, 22.6146]], "species": ["Na", "Na", "Si", "Na", "O", "O", "O", "Na", "Na", "O", "Na", "La", "O", "O", "La", "O", "Sn", "O", "Si", "Sn", "Na", "O", "O", "Na", "P", "Na", "Na", "O", "O", "O", "Na", "Si", "O", "O", "O", "O", "O", "O", "O", "La", "Na", "O", "Si", "Sn", "Na", "O", "O", "O", "Na", "O", "P", "Na", "O", "Si", "Sn", "O", "Na", "O", "La", "O", "O", "O", "O", "O", "O", "O", "O", "O", "Na", "Si", "O", "O", "O", "O", "Na", "O", "Si", "P", "P", "Sn", "O", "O", "P", "O", "O", "O", "Na", "O", "O", "Sn", "O", "O", "O", "Na", "O", "O", "O", "Si", "O", "O", "O", "O", "O", "Si", "P", "La", "O", "O", "O", "O", "Si", "O", "Na", "O", "La", "O", "O", "O", "Na", "O", "Na", "O", "O", "Na", "Si", "Si"], "frac_coords": [[0.9922, 0.9888, 0.5004], [0.6427, 0.0054, 0.2511], [0.2980, 0.3135, 0.7509], [0.6305, 0.6345, 0.7444], [0.4712, 0.1219, 0.2426], [0.9868, 0.7688, 0.8071], [0.8512, 0.0408, 0.0845], [0.0400, 0.3403, 0.0832], [0.6589, 0.3221, 0.8337], [0.5178, 0.3742, 0.4178], [0.6988, 0.0362, 0.9110], [0.0027, 0.0044, 0.8458], [0.7888, 0.7677, 0.3110], [0.7870, 0.8275, 0.1937], [0.6622, 0.3306, 0.6791], [0.7054, 0.5451, 0.5267], [0.6658, 0.3350, 0.9831], [0.1216, 0.6279, 0.3600], [0.3556, 0.3200, 0.0848], [0.9984, 0.0009, 0.1498], [0.6612, 0.6906, 0.0845], [0.1779, 0.1453, 0.0865], [0.5059, 0.8797, 0.3604], [0.3655, 0.3695, 0.2444], [0.2954, 0.9824, 0.2491], [0.9761, 0.6721, 0.9178], [0.3256, 0.6555, 0.1671], [0.4554, 0.1010, 0.6443], [0.1725, 0.2130, 0.6937], [0.3684, 0.4844, 0.3621], [0.0112, 0.0078, 0.0004], [0.6800, 0.6444, 0.5848], [0.5126, 0.7061, 0.2541], [0.5112, 0.8120, 0.7532], [0.4845, 0.3513, 0.7462], [0.8045, 0.7886, 0.9093], [0.7863, 0.0130, 0.8119], [0.0351, 0.8177, 0.6954], [0.3298, 0.4765, 0.0809], [0.3289, 0.6640, 0.0125], [0.3734, 0.0070, 0.7498], [0.8489, 0.2983, 0.5288], [0.0198, 0.3686, 0.9175], [0.3325, 0.6683, 0.3164], [0.9930, 0.6266, 0.2498], [0.2323, 0.2112, 0.8110], [0.6535, 0.1021, 0.1405], [0.8178, 0.0180, 0.4129], [0.2971, 0.9678, 0.0777], [0.3721, 0.8784, 0.8600], [0.0176, 0.7046, 0.7491], [0.9946, 0.3573, 0.7511], [0.8990, 0.5446, 0.1443], [0.3532, 0.0353, 0.5842], [0.3317, 0.6675, 0.8164], [0.1880, 0.4888, 0.2532], [0.6779, 0.3411, 0.3337], [0.3204, 0.8804, 0.9785], [0.9956, 0.9973, 0.3458], [0.8392, 0.5464, 0.0270], [0.1379, 0.4552, 0.5759], [0.0388, 0.2117, 0.1934], [0.8568, 0.3369, 0.2476], [0.7017, 0.1511, 0.0288], [0.3153, 0.8489, 0.5795], [0.6487, 0.5155, 0.2462], [0.4549, 0.2946, 0.0267], [0.9965, 0.8098, 0.4143], [0.6597, 0.9600, 0.5832], [0.0133, 0.3110, 0.2514], [0.6537, 0.5471, 0.6452], [0.1793, 0.0395, 0.5874], [0.9605, 0.8207, 0.0874], [0.9820, 0.1822, 0.9129], [0.3094, 0.3388, 0.5845], [0.2312, 0.0132, 0.3071], [0.6314, 0.9802, 0.4175], [0.3509, 0.3713, 0.4158], [0.9620, 0.3158, 0.5824], [0.9991, 0.0016, 0.6498], [0.9870, 0.2137, 0.3119], [0.6258, 0.4822, 0.9178], [0.6842, 0.0380, 0.0824], [0.7883, 0.9612, 0.6934], [0.1196, 0.6796, 0.4785], [0.9592, 0.1488, 0.5845], [0.3279, 0.0239, 0.4178], [0.8781, 0.5288, 0.7426], [0.8547, 0.8221, 0.5865], [0.6650, 0.3342, 0.4831], [0.5214, 0.1555, 0.9199], [0.5646, 0.6799, 0.9738], [0.4529, 0.3463, 0.1452], [0.3263, 0.2933, 0.9165], [0.6631, 0.1432, 0.7476], [0.8979, 0.3465, 0.6405], [0.6272, 0.1540, 0.4208], [0.6865, 0.7020, 0.2509], [0.8460, 0.3728, 0.9208], [0.1221, 0.4344, 0.9777], [0.3201, 0.4354, 0.4738], [0.5656, 0.8779, 0.4777], [0.4536, 0.1608, 0.5270], [0.3467, 0.9777, 0.9181], [0.6287, 0.6491, 0.9158], [0.3360, 0.6711, 0.5125], [0.1845, 0.7075, 0.7511], [0.5235, 0.6702, 0.5809], [0.1902, 0.0035, 0.9143], [0.1823, 0.9649, 0.1954], [0.9647, 0.6468, 0.0842], [0.2939, 0.4874, 0.7541], [0.7067, 0.6737, 0.4165], [0.5448, 0.8621, 0.0759], [0.6694, 0.3378, 0.1791], [0.8445, 0.4786, 0.4199], [0.2925, 0.8155, 0.2511], [0.1203, 0.4941, 0.8604], [0.9638, 0.3012, 0.4110], [0.5156, 0.6316, 0.8621], [0.3445, 0.6744, 0.6671], [0.1511, 0.6847, 0.0795], [0.2114, 0.1955, 0.4093], [0.0322, 0.7029, 0.5777], [0.0223, 0.6533, 0.4181], [0.6890, 0.9867, 0.7514]]}

# 2
{"formula": "LiBiTe2", "functional": "PBE", "state": "relaxed", "volume_a3_per_atom": 30.512, "energy_ev_per_atom": -3.46, "formation_enthalpy_0k_ev_per_atom": -0.65, "lattice": [[-2.4988, 3.6536, 0.3235], [-2.6709, -1.5442, -3.1905], [-3.5096, -2.7797, 4.2834]], "species": ["Te", "Bi", "Te", "Li"], "frac_coords": [[0.5000, 0.5000, 0.0000], [0.5000, 0.5000, 0.5000], [0.0000, 0.0000, 0.5000], [0.0000, 0.0000, 0.0000]]}

# 3
{"formula": "MgO", "functional": "PBE", "state": "relaxed", "e_ij_max_c_m2": 0.32, "volume_a3_per_atom": 10.016, "energy_ev_per_atom": -5.65, "formation_enthalpy_0k_ev_per_atom": -2.72, "lattice": [[1.4690, -2.5444, 0.0000], [1.4690, 2.5444, 0.0000], [0.0000, 0.0000, 2.6797]], "species": ["O", "Mg"], "frac_coords": [[0.3333, 0.6667, 0.5000], [0.0000, 0.0000, 0.0000]]}